Below is crystalline TlInP2Se6 at its relaxed geometry, with properties calculated at the GGA-PBE level.

Its calculated volume is 29.84 Å³ per atom. The energy is -39.691 eV/f.u. As for the symmetry: P-1 (2).

a b c (Å): 6.606 8.120 12.407
angles (deg): 102.34 93.43 111.73
Element x y z (fractional)
Tl: 0.170 0.325 0.037
Tl: 0.830 0.675 0.963
In: 0.292 0.070 0.591
In: 0.708 0.930 0.409
P: 0.079 0.670 0.295
P: 0.199 0.942 0.246
P: 0.801 0.058 0.754
P: 0.921 0.330 0.705
Se: 0.044 0.269 0.540
Se: 0.095 0.989 0.773
Se: 0.181 0.536 0.833
Se: 0.328 0.911 0.091
Se: 0.367 0.596 0.315
Se: 0.461 0.142 0.390
Se: 0.539 0.858 0.610
Se: 0.633 0.404 0.685
Se: 0.672 0.089 0.909
Se: 0.819 0.464 0.167
Se: 0.905 0.011 0.227
Se: 0.956 0.731 0.460